(1)
Here is a relaxed structure of Na2UBr6 from Materials Project. Energies are from PBE.

```
Na2UBr6
1.0
6.357 -11.011 0.000
6.357 11.011 0.000
0.000 0.000 6.684
U Br Na
3 18 6
direct
0.667 0.333 0.508
0.000 0.000 0.000
0.333 0.667 0.492
0.125 0.563 0.249
0.790 0.895 0.234
0.437 0.563 0.249
0.542 0.771 0.730
0.895 0.790 0.766
0.437 0.875 0.249
0.771 0.542 0.270
0.771 0.229 0.270
0.895 0.105 0.766
0.229 0.771 0.730
0.105 0.895 0.234
0.210 0.105 0.766
0.458 0.229 0.270
0.875 0.437 0.751
0.563 0.437 0.751
0.105 0.210 0.234
0.229 0.458 0.730
0.563 0.125 0.751
0.339 0.339 0.000
0.661 0.661 0.000
0.661 0.000 0.000
0.000 0.339 0.000
0.339 0.000 0.000
0.000 0.661 0.000
```

Properties
Calculated formation energy   -1.802 eV/atom
Space-group type   P-3m1 (164)
Total energy   -4.0860 eV/atom
Mass density   4.1 g/cm³



(2)
Here is a relaxed structure of NbBr5 from Materials Project. Energies are from PBE.

```
NbBr5
1.0
-6.587 2.208 0.483
0.927 -7.224 -1.963
1.296 1.056 9.980
Br Nb
10 2
direct
0.228 0.173 0.458
0.930 0.184 0.924
0.435 0.564 0.825
0.070 0.816 0.076
0.112 0.628 0.351
0.888 0.372 0.649
0.296 0.014 0.745
0.704 0.986 0.255
0.772 0.827 0.542
0.565 0.436 0.175
0.105 0.218 0.720
0.895 0.782 0.280
```

Properties
Calculated formation energy   -1.315 eV/atom
E above lowest polymorph   2.7 meV/atom
Space-group type   P-1 (2)
Total energy   -3.9182 eV/atom
Mass density   3.7 g/cm³



(3)
Here is a relaxed structure of NbBr5 from Materials Project. Energies are from PBE.

```
NbBr5
1.0
6.731 0.000 0.000
0.000 14.161 0.000
0.000 0.000 19.604
Nb Br
8 40
direct
0.507 0.625 0.359
0.007 0.875 0.859
0.993 0.125 0.141
0.493 0.375 0.641
0.493 0.375 0.859
0.993 0.125 0.359
0.507 0.625 0.141
0.007 0.875 0.641
0.791 0.019 0.848
0.291 0.481 0.348
0.714 0.553 0.250
0.709 0.519 0.652
0.203 0.195 0.250
0.286 0.447 0.750
0.227 0.204 0.064
0.240 0.954 0.564
0.786 0.053 0.250
0.297 0.695 0.250
0.209 0.981 0.152
0.260 0.454 0.936
0.797 0.805 0.750
0.773 0.796 0.936
0.727 0.296 0.564
0.778 0.268 0.347
0.727 0.296 0.936
0.778 0.268 0.153
0.260 0.454 0.564
0.240 0.954 0.936
0.722 0.768 0.153
0.214 0.947 0.750
0.760 0.046 0.436
0.222 0.732 0.847
0.760 0.046 0.064
0.278 0.232 0.653
0.709 0.519 0.848
0.273 0.704 0.064
0.209 0.981 0.348
0.273 0.704 0.436
0.227 0.204 0.436
0.703 0.305 0.750
0.722 0.768 0.347
0.222 0.732 0.653
0.773 0.796 0.564
0.291 0.481 0.152
0.740 0.546 0.436
0.740 0.546 0.064
0.278 0.232 0.847
0.791 0.019 0.652
```

Properties
Calculated formation energy   -1.318 eV/atom
E above lowest polymorph   0.0 meV/atom
Space-group type   Pnma (62)
Total energy   -3.9209 eV/atom
Mass density   3.5 g/cm³



(4)
Here is a relaxed structure of NbTe7Br5O from Materials Project. Energies are from PBE.

```
NbTe7Br5O
1.0
8.204 0.000 0.000
0.000 8.613 0.000
0.000 0.000 27.023
Te Br O Nb
28 20 4 4
direct
0.972 0.984 0.858
0.472 0.984 0.642
0.062 0.248 0.575
0.500 0.000 0.500
0.583 0.232 0.078
0.028 0.016 0.142
0.938 0.752 0.425
0.562 0.248 0.925
0.438 0.248 0.425
0.417 0.232 0.578
0.417 0.768 0.922
0.438 0.752 0.075
0.000 0.000 0.000
0.083 0.768 0.078
0.562 0.752 0.575
0.583 0.768 0.422
0.917 0.232 0.922
0.972 0.016 0.642
0.528 0.984 0.142
0.500 0.000 0.000
0.028 0.984 0.358
0.528 0.016 0.358
0.083 0.232 0.422
0.938 0.248 0.075
0.472 0.016 0.858
0.062 0.752 0.925
0.000 0.000 0.500
0.917 0.768 0.578
0.755 0.433 0.342
0.248 0.790 0.771
0.255 0.567 0.342
0.752 0.210 0.229
0.248 0.210 0.729
0.252 0.210 0.271
0.752 0.790 0.271
0.750 0.507 0.000
0.252 0.790 0.229
0.750 0.493 0.500
0.250 0.493 0.000
0.245 0.567 0.658
0.748 0.210 0.771
0.745 0.433 0.658
0.745 0.567 0.842
0.748 0.790 0.729
0.255 0.433 0.158
0.755 0.567 0.158
0.250 0.507 0.500
0.245 0.433 0.842
0.498 0.500 0.250
0.998 0.500 0.250
0.002 0.500 0.750
0.502 0.500 0.750
0.715 0.500 0.250
0.215 0.500 0.250
0.285 0.500 0.750
0.785 0.500 0.750
```

Properties
Calculated formation energy   -0.596 eV/atom
Magnetization   0.0 μB/f.u.
Space-group type   Pcca (54)
Total energy   -3.7780 eV/atom
Mass density   4.9 g/cm³



(5)
Here is a relaxed structure of RbNb4Br11 from Materials Project. Energies are from PBE.

```
RbNb4Br11
1.0
7.394 0.000 0.000
0.000 7.423 0.000
0.000 0.000 17.111
Br Nb Rb
22 8 2
direct
0.102 0.000 0.750
0.287 0.000 0.414
0.190 0.747 0.578
0.287 0.000 0.086
0.810 0.747 0.422
0.898 0.000 0.250
0.367 0.500 0.084
0.515 0.766 0.750
0.810 0.253 0.422
0.367 0.500 0.416
0.515 0.234 0.750
0.713 0.000 0.586
0.190 0.253 0.578
0.713 0.000 0.914
0.190 0.253 0.922
0.190 0.747 0.922
0.810 0.747 0.078
0.810 0.253 0.078
0.633 0.500 0.916
0.633 0.500 0.584
0.485 0.234 0.250
0.485 0.766 0.250
0.500 0.792 0.000
0.616 0.000 0.139
0.500 0.208 0.000
0.616 0.000 0.361
0.384 0.000 0.861
0.384 0.000 0.639
0.500 0.208 0.500
0.500 0.792 0.500
0.003 0.500 0.750
0.997 0.500 0.250
```

Properties
Calculated formation energy   -1.384 eV/atom
Space-group type   Pmma (51)
Total energy   -4.7286 eV/atom
Mass density   4.7 g/cm³



(6)
Here is a relaxed structure of Rb3Nb6SBr17 from Materials Project. Energies are from PBE.

```
Rb3Nb6SBr17
1.0
-11.230 5.167 4.529
-5.797 -7.152 -9.411
-1.108 -7.353 6.066
Br Nb Rb S
34 12 6 2
direct
0.311 0.562 0.895
0.969 0.745 0.523
0.363 0.144 0.666
0.856 0.637 0.834
0.065 0.511 0.684
0.010 0.873 0.890
0.309 0.435 0.562
0.990 0.127 0.110
0.127 0.990 0.610
0.511 0.065 0.184
0.435 0.309 0.062
0.935 0.489 0.316
0.438 0.689 0.605
0.255 0.031 0.977
0.691 0.565 0.438
0.689 0.438 0.105
0.799 0.359 0.619
0.359 0.799 0.119
0.641 0.201 0.881
0.031 0.255 0.477
0.637 0.856 0.334
0.099 0.650 0.025
0.201 0.641 0.381
0.144 0.363 0.166
0.350 0.901 0.475
0.118 0.882 0.250
0.650 0.099 0.525
0.901 0.350 0.975
0.882 0.118 0.750
0.873 0.010 0.390
0.565 0.691 0.938
0.489 0.935 0.816
0.745 0.969 0.023
0.562 0.311 0.395
0.053 0.699 0.762
0.699 0.053 0.262
0.617 0.240 0.144
0.196 0.836 0.980
0.164 0.804 0.520
0.383 0.760 0.856
0.804 0.164 0.020
0.947 0.301 0.238
0.240 0.617 0.644
0.836 0.196 0.480
0.760 0.383 0.356
0.301 0.947 0.738
0.275 0.168 0.332
0.832 0.725 0.168
0.725 0.832 0.668
0.455 0.545 0.250
0.168 0.275 0.832
0.545 0.455 0.750
0.777 0.223 0.250
0.223 0.777 0.750
```

Properties
Calculated formation energy   -1.507 eV/atom
Magnetization   0.0 μB/f.u.
Space-group type   C2/c (15)
Total energy   -4.6899 eV/atom
Mass density   4.4 g/cm³



(7)
Here is a relaxed structure of Nb3SBr7 from Materials Project. Energies are from PBE.

```
Nb3SBr7
1.0
3.602 -6.239 0.000
3.602 6.239 0.000
0.000 0.000 6.935
Nb S Br
3 1 7
direct
0.198 0.397 0.223
0.198 0.802 0.223
0.603 0.802 0.223
0.333 0.667 0.473
0.998 0.499 0.976
0.336 0.168 0.431
0.832 0.664 0.431
0.832 0.168 0.431
0.000 0.000 0.021
0.501 0.002 0.976
0.501 0.499 0.976
```

Properties
Calculated formation energy   -1.385 eV/atom
Largest piezoelectric modulus   0.16 C/m2
Space-group type   P3m1 (156)
Total energy   -5.1723 eV/atom
Mass density   4.6 g/cm³



(8)
Here is a relaxed structure of NbSBr from Materials Project. Energies are from PBE.

```
NbSBr
1.0
6.199 -3.947 -0.011
0.009 -6.821 -2.737
3.446 -1.413 -6.336
S Nb Br
4 4 4
direct
0.121 0.121 0.121
0.121 0.121 0.637
0.121 0.637 0.121
0.637 0.121 0.121
0.947 0.351 0.351
0.351 0.947 0.351
0.351 0.351 0.351
0.351 0.351 0.947
0.622 0.622 0.134
0.622 0.622 0.622
0.622 0.134 0.622
0.134 0.622 0.622
```

Properties
Calculated formation energy   -1.369 eV/atom
Magnetization   0.5 μB/f.u.
Space-group type   F-43m (216)
Total energy   -6.3147 eV/atom
Mass density   4.8 g/cm³



Please write out number 4 again, unchanged.
Here is a relaxed structure of NbTe7Br5O from Materials Project. Energies are from PBE.

```
NbTe7Br5O
1.0
8.204 0.000 0.000
0.000 8.613 0.000
0.000 0.000 27.023
Te Br O Nb
28 20 4 4
direct
0.972 0.984 0.858
0.472 0.984 0.642
0.062 0.248 0.575
0.500 0.000 0.500
0.583 0.232 0.078
0.028 0.016 0.142
0.938 0.752 0.425
0.562 0.248 0.925
0.438 0.248 0.425
0.417 0.232 0.578
0.417 0.768 0.922
0.438 0.752 0.075
0.000 0.000 0.000
0.083 0.768 0.078
0.562 0.752 0.575
0.583 0.768 0.422
0.917 0.232 0.922
0.972 0.016 0.642
0.528 0.984 0.142
0.500 0.000 0.000
0.028 0.984 0.358
0.528 0.016 0.358
0.083 0.232 0.422
0.938 0.248 0.075
0.472 0.016 0.858
0.062 0.752 0.925
0.000 0.000 0.500
0.917 0.768 0.578
0.755 0.433 0.342
0.248 0.790 0.771
0.255 0.567 0.342
0.752 0.210 0.229
0.248 0.210 0.729
0.252 0.210 0.271
0.752 0.790 0.271
0.750 0.507 0.000
0.252 0.790 0.229
0.750 0.493 0.500
0.250 0.493 0.000
0.245 0.567 0.658
0.748 0.210 0.771
0.745 0.433 0.658
0.745 0.567 0.842
0.748 0.790 0.729
0.255 0.433 0.158
0.755 0.567 0.158
0.250 0.507 0.500
0.245 0.433 0.842
0.498 0.500 0.250
0.998 0.500 0.250
0.002 0.500 0.750
0.502 0.500 0.750
0.715 0.500 0.250
0.215 0.500 0.250
0.285 0.500 0.750
0.785 0.500 0.750
```

Properties
Calculated formation energy   -0.596 eV/atom
Magnetization   0.0 μB/f.u.
Space-group type   Pcca (54)
Total energy   -3.7780 eV/atom
Mass density   4.9 g/cm³